Computed, not measured: Cs7In4Bi6 after structural relaxation at the PBE level of DFT.

abc: 10.454 10.497 28.247
angles: 94.60 90.86 90.25
Space group P-1 (No. 2)
Unique sites:
Cs: 0.017 0.243 0.250 x2
Cs: 0.045 0.160 0.411 x2
Cs: 0.100 0.245 0.084 x2
Cs: 0.119 0.194 0.732 x2
Cs: 0.168 0.200 0.572 x2
Cs: 0.182 0.928 0.171 x2
Cs: 0.252 0.593 0.243 x2
Cs: 0.284 0.599 0.588 x2
Cs: 0.302 0.648 0.919 x2
Cs: 0.325 0.533 0.762 x2
Cs: 0.346 0.570 0.085 x2
Cs: 0.374 0.303 0.322 x2
Cs: 0.479 0.012 0.074 x2
Cs: 0.481 0.026 0.425 x2
In: 0.035 0.392 0.963 x2
In: 0.098 0.537 0.465 x2
In: 0.134 0.038 0.955 x2
In: 0.227 0.743 0.372 x2
In: 0.236 0.232 0.865 x2
In: 0.417 0.913 0.794 x2
In: 0.450 0.640 0.459 x2
In: 0.499 0.102 0.705 x2
Bi: 0.026 0.422 0.856 x2
Bi: 0.040 0.525 0.359 x2
Bi: 0.137 0.855 0.034 x2
Bi: 0.166 0.949 0.851 x2
Bi: 0.215 0.812 0.480 x2
Bi: 0.222 0.960 0.310 x2
Bi: 0.304 0.889 0.692 x2
Bi: 0.308 0.279 0.971 x2
Bi: 0.345 0.367 0.463 x2
Bi: 0.390 0.272 0.177 x2
Bi: 0.480 0.207 0.809 x2
Bi: 0.491 0.338 0.646 x2

Uncorrected energy: -2.725 eV/atom

Computed, not measured: CsMg14Bi after structural relaxation at the PBE level of DFT.

abc: 10.669 6.781 11.517
angles: 90.00 90.00 90.00
Space group Amm2 (No. 38)
Unique sites:
Cs: 0.000 0.000 0.000 x2
Mg: 0.000 0.242 0.253 x4
Mg: 0.246 0.000 0.673 x4
Mg: 0.268 0.000 0.177 x4
Mg: 0.270 0.240 0.417 x8
Mg: 0.500 0.000 0.003 x2
Mg: 0.500 0.000 0.506 x2
Mg: 0.500 0.245 0.750 x4
Bi: 0.000 0.000 0.493 x2

Energy above the lowest structure with this stoichiometry: 0.000 eV/f.u.
Uncorrected energy: -1.581 eV/atom

Computed, not measured: CsMg14Bi after structural relaxation at the PBE level of DFT.

abc: 6.5822 6.5822 11.0824
angles: 90.00 90.00 120.00
Space group P-6m2 (No. 187)
Unique sites:
Cs: 0.0000 0.0000 0.0000 x1
Mg: 0.0049 0.5024 0.0000 x3
Mg: 0.1730 0.3460 0.2608 x6
Mg: 0.5025 0.0050 0.5000 x3
Mg: 0.6667 0.3333 0.2446 x2
Bi: 0.0000 0.0000 0.5000 x1

Energy above the lowest structure with this stoichiometry: 0.707 eV/f.u.
Uncorrected energy: -1.537 eV/atom

Computed, not measured: CsMg6BiO8 after structural relaxation at the PBE level of DFT.

abc: 4.822 4.822 9.162
angles: 90.00 90.00 90.00
Space group P4/mmm (No. 123)
Unique sites:
Cs: 0.000 0.000 0.000 x1
Mg: 0.000 0.000 0.500 x1
Mg: 0.000 0.500 0.277 x4
Mg: 0.500 0.500 0.500 x1
Bi: 0.500 0.500 0.000 x1
O: 0.000 0.000 0.291 x2
O: 0.000 0.500 0.000 x2
O: 0.000 0.500 0.500 x2
O: 0.500 0.500 0.270 x2

Energy above the lowest structure with this stoichiometry: 0.000 eV/f.u.
Uncorrected energy: -5.149 eV/atom

Computed, not measured: CsMg6BiO8 after structural relaxation at the PBE level of DFT.

abc: 4.779 4.779 9.481
angles: 90.00 90.00 90.00
Space group P4/mmm (No. 123)
Unique sites:
Cs: 0.000 0.000 0.000 x1
Mg: 0.000 0.500 0.238 x4
Mg: 0.500 0.500 0.000 x1
Mg: 0.500 0.500 0.500 x1
Bi: 0.000 0.000 0.500 x1
O: 0.000 0.000 0.267 x2
O: 0.000 0.500 0.000 x2
O: 0.000 0.500 0.500 x2
O: 0.500 0.500 0.254 x2

Energy above the lowest structure with this stoichiometry: 2.204 eV/f.u.
Uncorrected energy: -5.012 eV/atom

Computed, not measured: CsMnBi after structural relaxation at the PBE level of DFT.

abc: 4.962 4.962 9.172
angles: 90.00 90.00 90.00
Space group P4/nmm (No. 129, origin choice 2)
Unique sites:
Cs: 0.250 0.250 0.147 x2
Mn: 0.250 0.750 0.500 x2
Bi: 0.250 0.250 0.673 x2

Uncorrected energy: -4.617 eV/atom